(1)
This record from Materials Project describes a geometry-optimized ZrNb4CN4 structure. The functional is PBE-GGA.

Geometry as CIF:
```
data_ZrNb4CN4
_cell_length_a 3.1814
_cell_length_b 3.1814
_cell_length_c 39.0367
_cell_angle_alpha 90.00
_cell_angle_beta 90.00
_cell_angle_gamma 120.00
_space_group_name_H-M_alt 'R 3 m'
_space_group_IT_number 160
_space_group_name_Hall 'R 3 -2"'
loop_
_atom_site_label
_atom_site_fract_x
_atom_site_fract_y
_atom_site_fract_z
_atom_site_occupancy
Zr1 0.0000 0.0000 0.0000 1
Nb1 0.0000 0.0000 0.1993 1
Nb2 0.0000 0.0000 0.3997 1
Nb3 0.0000 0.0000 0.5968 1
Nb4 0.0000 0.0000 0.8001 1
C1 0.0000 0.0000 0.7015 1
N1 0.0000 0.0000 0.1017 1
N2 0.0000 0.0000 0.2966 1
N3 0.0000 0.0000 0.5001 1
N4 0.0000 0.0000 0.8978 1
```

Summary:
The energy of formation from the pure elements is -1.054 eV/atom. The calculation puts the corrected total energy (MP2020 scheme) at -102.07 eV/f.u. Its total magnetic moment is 0.00 μB per formula unit.

(2)
This record from Materials Project describes a geometry-optimized AlSBr3 structure. The functional is PBE-GGA.

Geometry as CIF:
```
data_AlSBr3
_cell_length_a 7.9348
_cell_length_b 7.9348
_cell_length_c 6.9680
_cell_angle_alpha 90.00
_cell_angle_beta 90.00
_cell_angle_gamma 120.00
_space_group_name_H-M_alt 'P -3 m 1'
_space_group_IT_number 164
_space_group_name_Hall '-P 3 2"'
loop_
_atom_site_label
_atom_site_fract_x
_atom_site_fract_y
_atom_site_fract_z
_atom_site_occupancy
Al1 0.3333 0.6667 0.3306 1
S1 0.3333 0.6667 0.6596 1
Br1 0.1713 0.3427 0.2479 1
```

Summary:
The energy of formation from the pure elements is -0.853 eV/atom. The calculation puts the corrected total energy (MP2020 scheme) at -17.06 eV/f.u. Its total magnetic moment is 2.00 μB per formula unit.

Number 1: calculated volume 11.41 A^3/atom. Number 2: calculated volume 37.99 A^3/atom.